First-principles (PBE) data for a geometry-optimized MgTeH12O9 structure, as listed in Materials Project.

ΔE_f = -1.47 eV per atom
energy = -5.12 eV per atom
piezoelectric modulus e_max = 0.61 C/m2

Geometry as CIF:
```
data_MgTeH12O9
_space_group_name_H-M_alt 'R 3'
_space_group_IT_number 146
_space_group_name_Hall 'R 3'
_cell_length_a 9.0475
_cell_length_b 9.0475
_cell_length_c 9.0344
_cell_angle_alpha 90.00
_cell_angle_beta 90.00
_cell_angle_gamma 120.00
loop_
_atom_site_label
_atom_site_type_symbol
_atom_site_fract_x
_atom_site_fract_y
_atom_site_fract_z
Mg1 Mg 0.0000 0.0000 0.0000
Te1 Te 0.0000 0.0000 0.4683
H1 H 0.0401 0.5697 0.8390
H2 H 0.0729 0.3568 0.5490
H3 H 0.1434 0.7763 0.8256
H4 H 0.1702 0.4816 0.4152
O1 O 0.0086 0.1933 0.8568
O2 O 0.1454 0.6712 0.7982
O3 O 0.1866 0.4615 0.2375
```

=====

First-principles (PBE) data for a geometry-optimized MgTeH12O9 structure, as listed in Materials Project.

ΔE_f = -1.23 eV per atom
energy = -4.87 eV per atom

Geometry as CIF:
```
data_MgTeH12O9
_space_group_name_H-M_alt 'P 1'
_space_group_IT_number 1
_cell_length_a 4.985
_cell_length_b 7.978
_cell_length_c 8.277
_cell_angle_alpha 64.77
_cell_angle_beta 79.41
_cell_angle_gamma 80.13
loop_
_space_group_symop_operation_xyz
'x,y,z'
loop_
_atom_site_label
_atom_site_type_symbol
_atom_site_fract_x
_atom_site_fract_y
_atom_site_fract_z
Mg1 Mg 0.000 0.000 0.000
Te1 Te 0.643 0.437 0.732
H1 H 0.243 0.273 0.708
H2 H 0.260 0.776 0.869
H3 H 0.322 0.739 0.198
H4 H 0.323 0.451 0.246
H5 H 0.334 0.446 0.435
H6 H 0.474 0.922 0.158
H7 H 0.595 0.184 0.166
H8 H 0.751 0.923 0.322
H9 H 0.757 0.910 0.582
H10 H 0.765 0.007 0.510
H11 H 0.809 0.505 0.970
H12 H 0.958 0.751 0.846
O1 O 0.070 0.833 0.867
O2 O 0.258 0.524 0.319
O3 O 0.335 0.875 0.115
O4 O 0.383 0.342 0.968
O5 O 0.438 0.292 0.650
O6 O 0.513 0.326 0.119
O7 O 0.713 0.993 0.198
O8 O 0.794 0.593 0.844
O9 O 0.924 0.244 0.808
```

=====

no.,ΔE to the lowest computed polymorph (meV per atom)
1,0
2,244